The following is a DFT calculation (PBE with a Hubbard U) of a relaxed structure of CaCo6O2F10.

a b c (Å): 4.886 5.150 9.625
angles (deg): 89.18 89.69 93.99
Fractional coordinates of all 19 atoms:
Co1 0.552 0.520 0.200
F1 0.203 0.854 0.506
F2 0.727 0.771 0.335
Co2 0.480 0.535 0.489
Co3 0.980 0.027 0.656
F3 0.205 0.797 0.841
Co4 0.037 0.073 0.341
Co5 0.491 0.506 0.812
F4 0.736 0.189 0.807
F5 0.209 0.833 0.152
F6 0.698 0.708 0.656
F7 0.831 0.240 0.166
O1 0.315 0.354 0.331
F8 0.215 0.287 0.951
F9 0.275 0.336 0.656
Ca1 0.548 0.035 0.009
Co6 0.034 0.590 0.012
F10 0.803 0.226 0.500
O2 0.649 0.621 0.001

Summary:
Calculated density (g/cm³): 4.23
ΔE to the lowest computed polymorph (kJ per mole of atoms): 8.0
Formation enthalpy at 0 K (eV/atom): -2.133
Space-group type: P1 (1)
Energy (eV per cell): -98.41
Total magnetic moment (μB/atom): 0.95

The following is a DFT calculation (PBE with a Hubbard U) of a relaxed structure of CaCo6O2F10.

a b c (Å): 4.755 4.755 11.437
angles (deg): 95.72 95.72 93.03
Fractional coordinates of all 19 atoms:
O1 0.292 0.292 0.368
F1 0.736 0.736 0.651
Ca1 0.670 0.670 0.136
Co1 0.208 0.208 0.205
F2 0.778 0.201 0.172
O2 0.742 0.742 0.954
F3 0.201 0.778 0.172
F4 0.868 0.261 0.803
F5 0.279 0.279 0.042
F6 0.350 0.350 0.664
Co2 0.045 0.045 0.664
F7 0.817 0.226 0.528
Co3 0.018 0.018 0.406
Co4 0.016 0.016 0.927
F8 0.728 0.728 0.342
Co5 0.583 0.583 0.803
F9 0.226 0.817 0.528
Co6 0.503 0.503 0.503
F10 0.261 0.868 0.803

Summary:
Calculated density (g/cm³): 4.00
ΔE to the lowest computed polymorph (kJ per mole of atoms): 2.5
Formation enthalpy at 0 K (eV/atom): -2.190
Space-group type: Cm (8)
Energy (eV per cell): -99.49
Total magnetic moment (μB/atom): 0.95

The following is a DFT calculation (PBE with a Hubbard U) of a relaxed structure of CaCo6O2F10.

a b c (Å): 4.777 4.789 11.441
angles (deg): 94.21 94.11 93.77
Fractional coordinates of all 19 atoms:
Co1 0.919 0.919 0.010
F1 0.114 0.702 0.857
F2 0.781 0.196 0.150
Co2 0.962 0.961 0.750
Co3 0.435 0.434 0.890
Co4 0.647 0.648 0.438
F3 0.702 0.113 0.857
Co5 0.500 0.500 0.162
F4 0.277 0.772 0.498
Ca1 0.248 0.249 0.514
F5 0.770 0.280 0.498
F6 0.250 0.249 0.715
Co6 0.095 0.096 0.254
F7 0.781 0.786 0.608
O1 0.367 0.367 0.322
F8 0.220 0.221 0.006
F9 0.794 0.797 0.302
O2 0.636 0.636 0.018
F10 0.195 0.782 0.151

Summary:
Calculated density (g/cm³): 3.94
ΔE to the lowest computed polymorph (kJ per mole of atoms): 8.2
Formation enthalpy at 0 K (eV/atom): -2.131
Space-group type: P1 (1)
Energy (eV per cell): -98.36
Total magnetic moment (μB/atom): 0.95

The following is a DFT calculation (PBE with a Hubbard U) of a relaxed structure of CaLaFeCoO6.

a b c (Å): 5.459 5.479 9.505
angles (deg): 54.99 90.00 90.00
Fractional coordinates of all 20 atoms:
O1 0.976 0.333 0.960
O2 0.735 0.821 0.248
O3 0.526 0.260 0.462
La1 0.776 0.254 0.251
Ca1 0.286 0.741 0.250
O4 0.761 0.171 0.751
O5 0.024 0.333 0.460
O6 0.971 0.743 0.542
O7 0.481 0.677 0.537
Fe1 0.250 0.000 0.500
O8 0.239 0.171 0.251
Co1 0.249 0.500 0.000
Co2 0.751 0.500 0.500
O9 0.029 0.743 0.042
O10 0.265 0.821 0.748
O11 0.519 0.677 0.037
La2 0.224 0.254 0.751
Ca2 0.714 0.741 0.750
Fe2 0.750 0.000 0.000
O12 0.474 0.260 0.962

Summary:
Calculated density (g/cm³): 5.56
Formation enthalpy at 0 K (eV/atom): -2.409
Space-group type: Pc (7)
Energy (eV per cell): -136.56
Total magnetic moment (μB/atom): 0.80